VASP calculation (PBE) on a relaxed structure of Dy5Ge10Rh4.

Cell: 13.0925 13.0925 4.3134 Å, 90.00 90.00 90.00°
Closest atoms and distances in Å follow each position.
Positions (direct):
Dy (0.5000, 0.5000, 0.0000)  8 Ge 3.00, 4 Rh 3.23
Dy (0.0000, 0.0000, 0.0000)  8 Ge 3.00, 4 Rh 3.23
Dy (0.6757, 0.1757, 0.5000)  8 Ge 2.96-3.13, 4 Rh 3.12
Dy (0.3243, 0.8243, 0.5000)  8 Ge 2.96-3.13, 4 Rh 3.12
Dy (0.1757, 0.3243, 0.5000)  8 Ge 2.96-3.13, 4 Rh 3.12
Dy (0.8243, 0.6757, 0.5000)  8 Ge 2.96-3.13, 4 Rh 3.12
Dy (0.8867, 0.3867, 0.5000)  10 Ge 3.25-3.34, 4 Rh 3.34
Dy (0.1133, 0.6133, 0.5000)  10 Ge 3.25-3.34, 4 Rh 3.34
Dy (0.3867, 0.1133, 0.5000)  10 Ge 3.25-3.34, 4 Rh 3.34
Dy (0.6133, 0.8867, 0.5000)  10 Ge 3.25-3.34, 4 Rh 3.34
Ge (0.5663, 0.0663, 0.0000)  1 Ge 2.46, 2 Rh 2.53
Ge (0.4337, 0.9337, 0.0000)  1 Ge 2.46, 2 Rh 2.53
Ge (0.0663, 0.4337, 0.0000)  1 Ge 2.46, 2 Rh 2.53
Ge (0.9337, 0.5663, 0.0000)  1 Ge 2.46, 2 Rh 2.53
Ge (0.6612, 0.7000, 0.0000)  2 Rh 2.47-2.58, 1 Ge 2.57
Ge (0.3388, 0.3000, 0.0000)  2 Rh 2.47-2.58, 1 Ge 2.57
Ge (0.1612, 0.8000, 0.0000)  2 Rh 2.47-2.58, 1 Ge 2.57
Ge (0.8388, 0.2000, 0.0000)  2 Rh 2.47-2.58, 1 Ge 2.57
Ge (0.3000, 0.6612, 0.0000)  2 Rh 2.47-2.58, 1 Ge 2.57
Ge (0.7000, 0.3388, 0.0000)  2 Rh 2.47-2.58, 1 Ge 2.57
Ge (0.2000, 0.1612, 0.0000)  2 Rh 2.47-2.58, 1 Ge 2.57
Ge (0.8000, 0.8388, 0.0000)  2 Rh 2.47-2.58, 1 Ge 2.57
Ge (0.6592, 0.5030, 0.5000)  2 Rh 2.45
Ge (0.3408, 0.4970, 0.5000)  2 Rh 2.45
Ge (0.1592, 0.9970, 0.5000)  2 Rh 2.45
Ge (0.8408, 0.0030, 0.5000)  2 Rh 2.45
Ge (0.4970, 0.6592, 0.5000)  2 Rh 2.45
Ge (0.5030, 0.3408, 0.5000)  2 Rh 2.45
Ge (0.0030, 0.1592, 0.5000)  2 Rh 2.45
Ge (0.9970, 0.8408, 0.5000)  2 Rh 2.45
Rh (0.7459, 0.5220, 0.0000)  5 Ge 2.45-2.58
Rh (0.2541, 0.4780, 0.0000)  5 Ge 2.45-2.58
Rh (0.2459, 0.9780, 0.0000)  5 Ge 2.45-2.58
Rh (0.7541, 0.0220, 0.0000)  5 Ge 2.45-2.58
Rh (0.4780, 0.7459, 0.0000)  5 Ge 2.45-2.58
Rh (0.5220, 0.2541, 0.0000)  5 Ge 2.45-2.58
Rh (0.0220, 0.2459, 0.0000)  5 Ge 2.45-2.58
Rh (0.9780, 0.7541, 0.0000)  5 Ge 2.45-2.58

calculated formation energy = -805.5 meV/atom
symmetry = No. 127